The following is a PBE with a Hubbard U calculation of crystalline MgMn2O4 at its relaxed geometry, from the Materials Project.

Properties
Total magnetic moment in Bohr magnetons per cell: 32.00
ΔH_f (0 K) in eV/f.u.: -15.448
Distance to the lowest polymorph of the same formula in eV per atom: 0.134
SG: P2_1/m (11)

Cell lengths 10.3165, 5.1544, 6.0260 Å; angles 88.13, 90.00, 90.00 degrees
Last column: nearest neighbours and their distance in Å.
Fractional coordinates of all 28 atoms:
O (0.3989, 0.1426, 0.7464)  3 Mn 1.97-1.99, 1 Mg 2.13
Mg (0.2500, 0.5140, 0.2595)  6 O 2.08-2.29
O (0.3962, 0.2357, 0.2511)  1 Mn 1.88, 1 Mg 2.08
O (0.1011, 0.1426, 0.7464)  3 Mn 1.97-1.99, 1 Mg 2.13
Mg (0.2500, 0.8559, 0.7531)  6 O 2.13-2.29
O (0.8962, 0.7643, 0.7489)  1 Mn 1.88, 1 Mg 2.08
Mg (0.7500, 0.1441, 0.2469)  6 O 2.13-2.29
Mn (0.4843, 0.4884, 0.7523)  4 O 1.88-2.10
Mn (0.0000, 0.0000, 0.5000)  6 O 1.98-2.18
O (0.6171, 0.3145, 0.4786)  2 Mn 1.99-2.02, 1 Mg 2.16
Mn (0.9843, 0.5116, 0.2477)  4 O 1.88-2.10
O (0.1171, 0.6855, 0.5214)  2 Mn 1.99-2.02, 1 Mg 2.16
O (0.6038, 0.7643, 0.7489)  1 Mn 1.88, 1 Mg 2.08
O (0.6011, 0.8574, 0.2536)  3 Mn 1.97-1.99, 1 Mg 2.13
O (0.3829, 0.6855, 0.5214)  2 Mn 1.99-2.02, 1 Mg 2.16
Mn (0.0157, 0.4884, 0.7523)  4 O 1.88-2.10
O (0.8829, 0.3145, 0.4786)  2 Mn 1.99-2.02, 1 Mg 2.16
O (0.6133, 0.3092, 0.9787)  3 Mn 1.98-2.20, 1 Mg 2.19
Mn (0.5000, 0.0000, 0.0000)  4 O 1.97-1.98
O (0.3867, 0.6908, 0.0213)  3 Mn 1.98-2.20, 1 Mg 2.19
Mn (0.5157, 0.5116, 0.2477)  4 O 1.88-2.10
Mg (0.7500, 0.4860, 0.7405)  6 O 2.08-2.29
O (0.1038, 0.2357, 0.2511)  1 Mn 1.88, 1 Mg 2.08
Mn (0.5000, 0.0000, 0.5000)  6 O 1.98-2.18
O (0.8867, 0.3092, 0.9787)  3 Mn 1.98-2.20, 1 Mg 2.19
O (0.1133, 0.6908, 0.0213)  3 Mn 1.98-2.20, 1 Mg 2.19
Mn (0.0000, 0.0000, 0.0000)  4 O 1.97-1.98
O (0.8989, 0.8574, 0.2536)  3 Mn 1.97-1.99, 1 Mg 2.13

The following is a PBE with a Hubbard U calculation of crystalline Li5Ni2O2F5 at its relaxed geometry, from the Materials Project.

Properties
Total magnetic moment in Bohr magnetons per cell: 0.00
ΔH_f (0 K) in eV/f.u.: -36.164

Cell lengths 2.9272, 14.6096, 5.8542 Å; angles 95.74, 90.00, 84.25 degrees
Last column: nearest neighbours and their distance in Å.
Fractional coordinates of all 28 atoms:
F (0.3535, 0.2929, 0.8232)  5 Li 2.01-2.07, 1 Ni 2.17
O (0.5014, 0.9971, 0.7493)  1 Li 2.07, 5 Ni 2.07-2.11
Li (0.2841, 0.4318, 0.3579)  6 F 2.01-2.07
Ni (0.0000, 0.0001, 0.5000)  5 O 2.07-2.11, 1 F 2.17
Li (0.1445, 0.7111, 0.9278)  6 F 2.01-2.07
Li (0.8556, 0.2888, 0.0722)  5 F 2.06-2.07, 1 O 2.07
Li (0.8556, 0.2888, 0.5722)  5 F 2.06-2.07, 1 O 2.07
F (0.0750, 0.8499, 0.4625)  5 Li 2.01-2.07, 1 Ni 2.17
F (0.2143, 0.5714, 0.3929)  6 Li 2.02-2.07
Ni (0.0000, 0.0001, 0.0000)  5 O 2.07-2.11, 1 F 2.17
F (0.0750, 0.8499, 0.9625)  5 Li 2.01-2.07, 1 Ni 2.17
F (0.7844, 0.4312, 0.1078)  6 Li 2.03-2.07
F (0.6442, 0.7116, 0.6779)  6 Li 2.03-2.07
F (0.2143, 0.5714, 0.8929)  6 Li 2.02-2.07
F (0.7844, 0.4312, 0.6078)  6 Li 2.03-2.07
Li (0.7143, 0.5714, 0.6429)  6 F 2.03-2.07
Li (0.7143, 0.5714, 0.1429)  6 F 2.03-2.07
F (0.6442, 0.7116, 0.1779)  6 Li 2.03-2.07
Ni (0.4286, 0.1428, 0.7857)  5 O 2.07-2.11, 1 F 2.17
O (0.5014, 0.9971, 0.2492)  1 Li 2.07, 5 Ni 2.07-2.11
Li (0.5730, 0.8540, 0.7135)  5 F 2.06-2.07, 1 O 2.07
Li (0.2841, 0.4318, 0.8579)  6 F 2.01-2.07
Li (0.1445, 0.7111, 0.4278)  6 F 2.01-2.07
O (0.9271, 0.1457, 0.5364)  1 Li 2.07, 5 Ni 2.07-2.11
Li (0.5730, 0.8540, 0.2135)  5 F 2.06-2.07, 1 O 2.07
F (0.3535, 0.2929, 0.3232)  5 Li 2.01-2.07, 1 Ni 2.17
Ni (0.4286, 0.1428, 0.2857)  5 O 2.07-2.11, 1 F 2.17
O (0.9271, 0.1458, 0.0365)  1 Li 2.07, 5 Ni 2.07-2.11

The following is a PBE with a Hubbard U calculation of crystalline Li2FeF4 at its relaxed geometry, from the Materials Project.

Properties
Total magnetic moment in Bohr magnetons per cell: 4.00
ΔH_f (0 K) in eV/f.u.: -19.742
Distance to the lowest polymorph of the same formula in eV per atom: 0.079
SG: Cmmm (65)

Cell lengths 5.2804, 5.2804, 2.9834 Å; angles 90.00, 90.00, 111.08 degrees
Last column: nearest neighbours and their distance in Å.
Fractional coordinates of all 7 atoms:
F (0.2350, 0.7650, 0.0000)  1 Fe 2.05, 4 Li 2.12
Li (0.5000, 0.0000, 0.5000)  6 F 2.12-2.18
Li (0.0000, 0.5000, 0.5000)  6 F 2.12-2.18
F (0.2422, 0.2422, 0.5000)  2 Fe 2.08, 2 Li 2.18
F (0.7650, 0.2350, 0.0000)  1 Fe 2.05, 4 Li 2.12
Fe (0.0000, 0.0000, 0.0000)  6 F 2.05-2.08
F (0.7578, 0.7578, 0.5000)  2 Fe 2.08, 2 Li 2.18

The following is a PBE with a Hubbard U calculation of crystalline Rb3NiF6 at its relaxed geometry, from the Materials Project.

Properties
Total magnetic moment in Bohr magnetons per cell: 1.00
ΔH_f (0 K) in eV/f.u.: -25.657
SG: Fm-3m (225)

Cell lengths 6.4112, 6.4112, 6.4111 Å; angles 60.00, 60.00, 60.00 degrees
Last column: nearest neighbours and their distance in Å.
Fractional coordinates of all 10 atoms:
F (0.7901, 0.7901, 0.2099)  1 Ni 1.90
F (0.2099, 0.7901, 0.7901)  1 Ni 1.90
Rb (0.2500, 0.2500, 0.2500)  12 F 3.23
F (0.7901, 0.2099, 0.2099)  1 Ni 1.90
F (0.2099, 0.7901, 0.2099)  1 Ni 1.90
F (0.7901, 0.2099, 0.7901)  1 Ni 1.90
Ni (0.0000, 0.0000, 0.0000)  6 F 1.90
F (0.2099, 0.2099, 0.7901)  1 Ni 1.90
Rb (0.5000, 0.5000, 0.5000)  6 F 2.63
Rb (0.7500, 0.7500, 0.7500)  12 F 3.23